First-principles (PBE-GGA) data for a relaxed structure of NaLiLa2Ti4O12, as listed in the Materials Project.

Cell lengths 7.834, 7.834, 3.907 Å; angles 90.00, 90.00, 90.00 degrees
Space group P4/mmm (No. 123)
One atom of each set of equivalent atoms:
Na (0.000, 0.000, 0.000)
Li (0.500, 0.500, 0.500)
La (0.000, 0.500, 0.000)
Ti (0.248, 0.248, 0.500)
O (0.000, 0.268, 0.500)
O (0.241, 0.241, 0.000)
O (0.245, 0.500, 0.500)

- Crystal system: tetragonal
- Volume: 239.8 Å³ per cell
- Energy of formation: -3.4398 eV/atom